Record 1
## Na2ZnPHO5 (PBE)

Data for an optimized crystal structure of Na2ZnPHO5.

Output
M_tot = 0.0 μB per formula unit
calculated volume = 490 Å³/cell
formation enthalpy at 0 K = -2262 meV per atom
E = -5.663 eV/atom

a = 10.017 Å, b = 5.854 Å, c = 8.640 Å
α = 75.06°, β = 90.00°, γ = 90.00°
Element x y z (fractional)
Zn (0.860, 0.782, 0.989)
H (0.875, 0.370, 0.960)
O (0.307, 0.058, 0.984)
O (0.894, 0.282, 0.579)
Zn (0.360, 0.718, 0.011)
O (0.606, 0.782, 0.579)
P (0.008, 0.863, 0.297)
Na (0.144, 0.686, 0.697)
Zn (0.640, 0.282, 0.989)
O (0.565, 0.377, 0.770)
P (0.492, 0.363, 0.297)
O (0.499, 0.240, 0.153)
O (0.193, 0.558, 0.984)
P (0.508, 0.637, 0.703)
O (0.693, 0.942, 0.016)
O (0.106, 0.718, 0.421)
Na (0.856, 0.314, 0.303)
O (0.367, 0.617, 0.639)
P (0.992, 0.137, 0.703)
Zn (0.140, 0.218, 0.011)
Na (0.170, 0.354, 0.385)
O (0.133, 0.117, 0.639)
H (0.625, 0.870, 0.960)
O (0.435, 0.623, 0.230)
O (0.867, 0.883, 0.361)
O (0.065, 0.123, 0.230)
O (0.394, 0.218, 0.421)
O (0.807, 0.442, 0.016)
Na (0.830, 0.646, 0.615)
O (0.999, 0.260, 0.847)
Na (0.330, 0.854, 0.385)
H (0.375, 0.130, 0.040)
O (0.935, 0.877, 0.770)
H (0.125, 0.630, 0.040)
Na (0.644, 0.814, 0.303)
O (0.633, 0.383, 0.361)
Na (0.356, 0.186, 0.697)
O (0.501, 0.760, 0.847)
Na (0.670, 0.146, 0.615)
O (0.001, 0.740, 0.153)

Record 2
## NaZn2P2HO8 (PBE)

Data for an optimized crystal structure of NaZn2P2HO8.

Output
M_tot = 0.0 μB per formula unit
calculated volume = 377 Å³/cell
formation enthalpy at 0 K = -2357 meV per atom
E = -6.082 eV/atom

a = 5.182 Å, b = 8.738 Å, c = 8.970 Å
α = 96.99°, β = 100.25°, γ = 106.34°
Element x y z (fractional)
O (0.798, 0.315, 0.580)
O (0.588, 0.097, 0.346)
O (0.412, 0.903, 0.654)
Zn (0.324, 0.618, 0.892)
P (0.158, 0.754, 0.583)
Zn (0.222, 0.113, 0.258)
O (0.275, 0.262, 0.105)
H (0.922, 0.431, 0.621)
O (0.202, 0.685, 0.420)
O (0.940, 0.911, 0.164)
O (0.811, 0.271, 0.951)
O (0.726, 0.615, 0.129)
Na (0.592, 0.813, 0.312)
O (0.133, 0.617, 0.679)
O (0.893, 0.803, 0.557)
O (0.060, 0.089, 0.836)
O (0.189, 0.729, 0.049)
Zn (0.676, 0.382, 0.108)
P (0.907, 0.749, 0.060)
O (0.274, 0.385, 0.871)
Na (0.408, 0.187, 0.688)
H (0.078, 0.569, 0.379)
P (0.842, 0.246, 0.417)
O (0.107, 0.197, 0.443)
Zn (0.778, 0.887, 0.742)
O (0.725, 0.738, 0.895)
O (0.867, 0.383, 0.321)
P (0.093, 0.251, 0.940)

Record 3
## Na2ZnP2H10O12 (PBE)

Data for an optimized crystal structure of Na2ZnP2H10O12.

Output
M_tot = 0.0 μB per formula unit
calculated volume = 1113 Å³/cell
formation enthalpy at 0 K = -1836 meV per atom
E = -5.532 eV/atom

a = 13.450 Å, b = 9.051 Å, c = 10.201 Å
α = 63.63°, β = 90.00°, γ = 90.00°
Element x y z (fractional)
O (0.662, 0.128, 0.987)
P (0.188, 0.270, 0.797)
H (0.578, 0.515, 0.086)
H (0.892, 0.057, 0.918)
H (0.702, 0.036, 0.060)
Na (0.965, 0.165, 0.637)
Zn (0.660, 0.597, 0.463)
O (0.073, 0.262, 0.438)
Na (0.035, 0.835, 0.363)
H (0.646, 0.745, 0.053)
H (0.392, 0.943, 0.582)
O (0.072, 0.295, 0.769)
H (0.942, 0.731, 0.660)
H (0.202, 0.964, 0.440)
Na (0.276, 0.680, 0.698)
O (0.644, 0.371, 0.619)
O (0.428, 0.295, 0.269)
H (0.523, 0.718, 0.647)
H (0.922, 0.515, 0.586)
O (0.737, 0.579, 0.831)
H (0.854, 0.745, 0.553)
O (0.541, 0.699, 0.345)
P (0.439, 0.743, 0.390)
Zn (0.340, 0.403, 0.537)
H (0.354, 0.255, 0.947)
H (0.140, 0.991, 0.781)
P (0.312, 0.270, 0.297)
Zn (0.160, 0.403, 0.037)
H (0.184, 0.045, 0.125)
H (0.149, 0.537, 0.506)
H (0.132, 0.913, 0.578)
O (0.838, 0.128, 0.487)
O (0.147, 0.941, 0.164)
H (0.316, 0.045, 0.625)
H (0.608, 0.057, 0.418)
P (0.061, 0.743, 0.890)
O (0.356, 0.629, 0.381)
O (0.715, 0.733, 0.554)
H (0.558, 0.731, 0.160)
H (0.868, 0.087, 0.422)
O (0.853, 0.059, 0.836)
O (0.427, 0.262, 0.938)
O (0.763, 0.579, 0.331)
H (0.477, 0.282, 0.353)
O (0.041, 0.301, 0.155)
O (0.781, 0.892, 0.204)
O (0.573, 0.738, 0.062)
O (0.615, 0.419, 0.089)
H (0.422, 0.485, 0.914)
H (0.058, 0.269, 0.340)
Na (0.465, 0.835, 0.863)
O (0.385, 0.581, 0.911)
H (0.816, 0.955, 0.875)
O (0.353, 0.941, 0.664)
H (0.851, 0.463, 0.494)
P (0.688, 0.730, 0.703)
H (0.298, 0.964, 0.940)
H (0.360, 0.991, 0.281)
O (0.162, 0.872, 0.513)
P (0.561, 0.257, 0.610)
O (0.115, 0.581, 0.411)
O (0.215, 0.267, 0.946)
H (0.368, 0.913, 0.078)
H (0.351, 0.537, 0.006)
Na (0.724, 0.320, 0.302)
Na (0.776, 0.320, 0.802)
O (0.719, 0.892, 0.704)
O (0.959, 0.699, 0.845)
O (0.927, 0.738, 0.562)
O (0.338, 0.872, 0.013)
H (0.108, 0.943, 0.082)
O (0.885, 0.419, 0.589)
O (0.281, 0.108, 0.296)
P (0.939, 0.257, 0.110)
H (0.078, 0.485, 0.414)
O (0.459, 0.301, 0.655)
Na (0.535, 0.165, 0.137)
H (0.632, 0.087, 0.922)
H (0.860, 0.009, 0.219)
O (0.285, 0.267, 0.446)
O (0.585, 0.076, 0.739)
O (0.263, 0.421, 0.169)
O (0.144, 0.629, 0.881)
Na (0.224, 0.680, 0.198)
H (0.023, 0.282, 0.853)
O (0.856, 0.371, 0.119)
H (0.684, 0.955, 0.375)
P (0.812, 0.730, 0.203)
H (0.146, 0.255, 0.447)
O (0.219, 0.108, 0.796)
O (0.415, 0.924, 0.261)
O (0.572, 0.705, 0.731)
H (0.798, 0.036, 0.560)
O (0.059, 0.747, 0.038)
O (0.237, 0.421, 0.669)
O (0.928, 0.705, 0.231)
O (0.941, 0.253, 0.962)
H (0.442, 0.269, 0.840)
Zn (0.840, 0.597, 0.963)
H (0.977, 0.718, 0.147)
O (0.915, 0.076, 0.239)
H (0.640, 0.009, 0.719)
O (0.085, 0.924, 0.761)
O (0.559, 0.253, 0.462)
O (0.647, 0.059, 0.336)
O (0.441, 0.747, 0.538)
O (0.785, 0.733, 0.054)
H (0.649, 0.463, 0.994)

Record 4
## Na6H2PdS4O14 (PBE)

Data for an optimized crystal structure of Na6H2PdS4O14.

Output
M_tot = 1.8 μB per formula unit
calculated volume = 1524 Å³/cell
formation enthalpy at 0 K = -1731 meV per atom
E = -5.291 eV/atom

a = 13.027 Å, b = 13.027 Å, c = 13.027 Å
α = 100.03°, β = 100.03°, γ = 130.66°
Element x y z (fractional)
H (0.474, 0.705, 0.749)
Pd (0.625, 0.875, 0.250)
O (0.632, 0.296, 0.992)
S (0.549, 0.998, 0.232)
Na (0.815, 0.634, 0.076)
O (0.791, 0.723, 0.569)
O (0.603, 0.817, 0.993)
O (0.049, 0.387, 0.007)
S (0.221, 0.400, 0.434)
Na (0.739, 0.315, 0.181)
O (0.951, 0.613, 0.993)
O (0.696, 0.860, 0.492)
Na (0.103, 0.686, 0.540)
Na (0.558, 0.239, 0.424)
Na (0.134, 0.058, 0.319)
O (0.223, 0.654, 0.432)
O (0.561, 0.929, 0.472)
O (0.397, 0.183, 0.007)
O (0.630, 0.374, 0.262)
O (0.571, 0.043, 0.132)
Na (0.146, 0.063, 0.960)
O (0.126, 0.388, 0.756)
O (0.610, 0.103, 0.786)
O (0.102, 0.864, 0.994)
S (0.779, 0.600, 0.566)
O (0.870, 0.607, 0.506)
O (0.640, 0.132, 0.336)
Na (0.437, 0.397, 0.583)
O (0.846, 0.278, 0.069)
Pd (0.375, 0.125, 0.750)
Na (0.563, 0.603, 0.417)
O (0.429, 0.957, 0.868)
O (0.317, 0.324, 0.714)
O (0.304, 0.140, 0.508)
O (0.130, 0.393, 0.494)
O (0.364, 0.370, 0.262)
Na (0.442, 0.761, 0.576)
O (0.209, 0.277, 0.431)
O (0.154, 0.722, 0.931)
O (0.367, 0.130, 0.256)
Na (0.484, 0.458, 0.126)
S (0.213, 0.279, 0.179)
H (0.795, 0.544, 0.270)
S (0.100, 0.534, 0.321)
O (0.887, 0.881, 0.838)
S (0.900, 0.466, 0.679)
Na (0.668, 0.142, 0.626)
O (0.683, 0.676, 0.286)
Pd (0.125, 0.375, 0.250)
Na (0.866, 0.942, 0.681)
Na (0.185, 0.366, 0.924)
S (0.502, 0.733, 0.051)
O (0.893, 0.398, 0.762)
S (0.682, 0.951, 0.449)
S (0.034, 0.713, 0.934)
O (0.778, 0.709, 0.932)
Na (0.042, 0.168, 0.527)
O (0.874, 0.612, 0.244)
H (0.044, 0.775, 0.249)
S (0.498, 0.267, 0.949)
S (0.966, 0.287, 0.066)
O (0.796, 0.804, 0.164)
O (0.888, 0.133, 0.762)
S (0.233, 0.182, 0.732)
Na (0.358, 0.984, 0.027)
O (0.204, 0.196, 0.836)
O (0.107, 0.602, 0.238)
Na (0.261, 0.685, 0.819)
O (0.457, 0.589, 0.028)
S (0.451, 0.002, 0.768)
S (0.318, 0.049, 0.551)
O (0.113, 0.119, 0.162)
O (0.176, 0.890, 0.493)
O (0.543, 0.411, 0.972)
O (0.042, 0.549, 0.662)
O (0.439, 0.071, 0.528)
Pd (0.875, 0.625, 0.750)
O (0.112, 0.867, 0.238)
H (0.275, 0.026, 0.230)
O (0.777, 0.346, 0.568)
O (0.089, 0.061, 0.632)
O (0.360, 0.868, 0.664)
O (0.898, 0.136, 0.006)
O (0.958, 0.451, 0.338)
Na (0.642, 0.016, 0.973)
O (0.381, 0.542, 0.493)
O (0.390, 0.897, 0.214)
O (0.824, 0.110, 0.507)
S (0.767, 0.818, 0.268)
Na (0.958, 0.832, 0.473)
H (0.205, 0.456, 0.730)
H (0.956, 0.225, 0.751)
O (0.633, 0.870, 0.744)
O (0.636, 0.630, 0.738)
H (0.725, 0.974, 0.770)
S (0.787, 0.721, 0.821)
H (0.526, 0.295, 0.251)
Na (0.186, 0.646, 0.083)
Na (0.814, 0.354, 0.917)
O (0.370, 0.626, 0.738)
O (0.222, 0.291, 0.068)
Na (0.897, 0.314, 0.460)
O (0.619, 0.458, 0.507)
Na (0.516, 0.542, 0.874)
O (0.368, 0.704, 0.008)
Na (0.854, 0.937, 0.040)
O (0.911, 0.939, 0.368)
Na (0.332, 0.858, 0.374)

Record 5
## Na2H6PtO6 (PBE)

Data for an optimized crystal structure of Na2H6PtO6.

Output
M_tot = 0.0 μB per formula unit
calculated volume = 140 Å³/cell
formation enthalpy at 0 K = -1382 meV per atom
E = -5.024 eV/atom

a = 5.918 Å, b = 5.918 Å, c = 4.616 Å
α = 90.00°, β = 90.00°, γ = 120.00°
Element x y z (fractional)
O (0.705, 0.985, 0.752)
O (0.985, 0.279, 0.248)
O (0.279, 0.295, 0.752)
H (0.325, 0.140, 0.407)
H (0.860, 0.185, 0.407)
O (0.721, 0.705, 0.248)
H (0.675, 0.860, 0.593)
O (0.295, 0.015, 0.248)
H (0.185, 0.325, 0.593)
Na (0.667, 0.333, 0.954)
H (0.140, 0.815, 0.593)
Pt (0.000, 0.000, 0.000)
Na (0.333, 0.667, 0.046)
O (0.015, 0.721, 0.752)
H (0.815, 0.675, 0.407)

Record 6
## Na4PuH7O9 (PBE)

Data for an optimized crystal structure of Na4PuH7O9.

Output
M_tot = 1.0 μB per formula unit
calculated volume = 487 Å³/cell
formation enthalpy at 0 K = -1858 meV per atom
E = -5.746 eV/atom

a = 6.045 Å, b = 8.168 Å, c = 11.033 Å
α = 104.49°, β = 101.59°, γ = 105.61°
Element x y z (fractional)
O (0.123, 0.396, 0.612)
H (0.292, 0.984, 0.105)
O (0.494, 0.308, 0.405)
O (0.506, 0.692, 0.595)
O (0.814, 0.953, 0.283)
O (0.877, 0.604, 0.388)
H (0.177, 0.931, 0.731)
Na (0.057, 0.342, 0.077)
Na (0.385, 0.150, 0.577)
O (0.762, 0.136, 0.886)
H (0.840, 0.179, 0.621)
O (0.849, 0.278, 0.242)
H (0.987, 0.956, 0.310)
O (0.245, 0.926, 0.359)
H (0.013, 0.044, 0.690)
O (0.394, 0.225, 0.106)
Na (0.792, 0.536, 0.585)
Pu (0.365, 0.587, 0.751)
H (0.708, 0.016, 0.895)
O (0.606, 0.775, 0.894)
O (0.578, 0.449, 0.747)
H (0.242, 0.888, 0.211)
O (0.238, 0.864, 0.114)
H (0.569, 0.823, 0.628)
H (0.758, 0.112, 0.789)
H (0.083, 0.360, 0.850)
Na (0.615, 0.850, 0.423)
O (0.215, 0.469, 0.904)
Na (0.208, 0.464, 0.415)
O (0.422, 0.551, 0.253)
H (0.917, 0.640, 0.150)
Na (0.943, 0.658, 0.923)
H (0.431, 0.177, 0.372)
H (0.823, 0.069, 0.269)
O (0.186, 0.047, 0.717)
O (0.785, 0.531, 0.096)
Na (0.477, 0.281, 0.907)
Pu (0.635, 0.413, 0.249)
O (0.151, 0.722, 0.758)
Na (0.523, 0.719, 0.093)
O (0.755, 0.074, 0.641)
H (0.160, 0.821, 0.379)

Record 7
## Na6Te2H28RuO30 (PBE)

Data for an optimized crystal structure of Na6Te2H28RuO30.

Output
M_tot = 4.0 μB per formula unit
calculated volume = 701 Å³/cell
formation enthalpy at 0 K = -1362 meV per atom
E = -5.038 eV/atom

a = 7.005 Å, b = 9.065 Å, c = 11.740 Å
α = 107.34°, β = 99.24°, γ = 90.39°
Element x y z (fractional)
O (0.474, 0.599, 0.353)
H (0.891, 0.371, 0.090)
O (0.811, 0.364, 0.805)
H (0.170, 0.093, 0.466)
H (0.411, 0.287, 0.143)
O (0.362, 0.536, 0.399)
H (0.264, 0.493, 0.098)
O (0.727, 0.058, 0.634)
H (0.040, 0.234, 0.474)
O (0.638, 0.464, 0.601)
O (0.892, 0.838, 0.251)
O (0.877, 0.453, 0.166)
O (0.763, 0.013, 0.034)
H (0.736, 0.507, 0.902)
H (0.912, 0.350, 0.263)
H (0.189, 0.324, 0.014)
H (0.325, 0.167, 0.197)
H (0.473, 0.053, 0.401)
Na (0.682, 0.036, 0.227)
O (0.123, 0.547, 0.834)
O (0.874, 0.815, 0.475)
Na (0.628, 0.640, 0.150)
O (0.114, 0.056, 0.180)
Ru (0.000, 0.000, 0.000)
Na (0.318, 0.964, 0.773)
H (0.002, 0.195, 0.273)
O (0.689, 0.606, 0.954)
H (0.910, 0.837, 0.337)
H (0.589, 0.713, 0.857)
O (0.081, 0.723, 0.686)
O (0.126, 0.185, 0.525)
H (0.090, 0.163, 0.663)
O (0.237, 0.987, 0.966)
O (0.554, 0.770, 0.797)
O (0.977, 0.212, 0.970)
H (0.996, 0.528, 0.182)
H (0.527, 0.947, 0.599)
O (0.415, 0.849, 0.145)
O (0.526, 0.401, 0.647)
O (0.600, 0.117, 0.425)
O (0.585, 0.151, 0.855)
H (0.088, 0.650, 0.737)
O (0.311, 0.394, 0.046)
Na (0.365, 0.659, 0.615)
Na (0.635, 0.341, 0.385)
H (0.960, 0.766, 0.526)
O (0.273, 0.942, 0.366)
O (0.400, 0.883, 0.575)
H (0.385, 0.877, 0.069)
Na (0.372, 0.360, 0.850)
O (0.023, 0.788, 0.030)
O (0.919, 0.277, 0.314)
H (0.615, 0.123, 0.931)
H (0.343, 0.892, 0.494)
O (0.108, 0.162, 0.749)
Te (0.156, 0.845, 0.204)
H (0.657, 0.108, 0.506)
H (0.830, 0.907, 0.534)
H (0.109, 0.629, 0.910)
H (0.998, 0.805, 0.727)
H (0.675, 0.833, 0.803)
O (0.886, 0.944, 0.820)
O (0.189, 0.636, 0.195)
H (0.004, 0.472, 0.818)
O (0.446, 0.230, 0.203)
H (0.811, 0.676, 0.986)
Te (0.844, 0.155, 0.796)